No. 1
# Ni2C5Cl4O2

A relaxed Ni2C5Cl4O2 crystal (PBE+U, Materials Project).

POSCAR file:
```
Ni2C5Cl4O2
1.0
7.460 0.000 0.000
-2.550 10.550 0.000
-0.094 -0.297 14.509
Ni C Cl O
8 20 16 8
Direct
0.089 0.212 0.485 Ni
0.090 0.684 0.088 Ni
0.213 0.385 0.000 Ni
0.240 0.915 0.545 Ni
0.760 0.085 0.455 Ni
0.787 0.615 0.000 Ni
0.910 0.316 0.912 Ni
0.911 0.788 0.515 Ni
0.097 0.875 0.429 C
0.131 0.453 0.888 C
0.135 0.256 0.904 C
0.141 0.734 0.525 C
0.156 0.761 0.429 C
0.191 0.356 0.840 C
0.222 0.313 0.401 C
0.249 0.835 0.079 C
0.265 0.283 0.088 C
0.370 0.905 0.648 C
0.630 0.095 0.352 C
0.735 0.717 0.912 C
0.751 0.165 0.921 C
0.778 0.687 0.599 C
0.809 0.644 0.160 C
0.844 0.239 0.571 C
0.859 0.266 0.475 C
0.865 0.744 0.096 C
0.869 0.547 0.112 C
0.903 0.125 0.571 C
0.084 0.961 0.333 Cl
0.158 0.604 0.849 Cl
0.177 0.108 0.890 Cl
0.197 0.605 0.573 Cl
0.227 0.679 0.339 Cl
0.299 0.356 0.736 Cl
0.301 0.567 0.083 Cl
0.321 0.127 0.532 Cl
0.679 0.873 0.468 Cl
0.699 0.433 0.917 Cl
0.701 0.644 0.264 Cl
0.773 0.321 0.661 Cl
0.803 0.395 0.427 Cl
0.823 0.892 0.110 Cl
0.842 0.396 0.151 Cl
0.916 0.039 0.667 Cl
0.289 0.215 0.144 O
0.309 0.375 0.346 O
0.351 0.932 0.077 O
0.455 0.896 0.713 O
0.545 0.104 0.287 O
0.649 0.068 0.923 O
0.691 0.625 0.654 O
0.711 0.785 0.856 O
```

---

No. 2
# Li12CrCo3P4C4O28

A relaxed Li12CrCo3P4C4O28 crystal (PBE+U, Materials Project).

POSCAR file:
```
Li12CrCo3P4C4O28
1.0
8.492 0.000 0.000
0.000 6.456 0.000
-0.813 0.000 9.970
Li Cr Co P C O
12 1 3 4 4 28
Direct
0.000 0.000 0.000 Li
0.001 0.000 0.500 Li
0.180 0.227 0.259 Li
0.180 0.228 0.755 Li
0.180 0.772 0.755 Li
0.180 0.773 0.259 Li
0.629 0.272 0.507 Li
0.629 0.728 0.507 Li
0.630 0.272 0.007 Li
0.630 0.728 0.007 Li
0.805 0.500 0.763 Li
0.808 0.500 0.265 Li
0.239 0.500 0.990 Cr
0.237 0.500 0.487 Co
0.573 0.000 0.777 Co
0.574 0.000 0.277 Co
0.318 0.000 0.522 P
0.319 0.000 0.023 P
0.491 0.500 0.741 P
0.494 0.500 0.243 P
0.868 0.000 0.233 C
0.868 0.000 0.733 C
0.936 0.500 0.030 C
0.942 0.500 0.531 C
0.014 0.000 0.202 O
0.014 0.000 0.703 O
0.053 0.500 0.124 O
0.058 0.500 0.626 O
0.214 0.186 0.970 O
0.214 0.187 0.470 O
0.214 0.813 0.470 O
0.214 0.814 0.970 O
0.325 0.500 0.292 O
0.325 0.500 0.793 O
0.337 0.000 0.179 O
0.337 0.000 0.679 O
0.472 0.500 0.585 O
0.483 0.500 0.088 O
0.484 0.000 0.470 O
0.484 0.000 0.970 O
0.595 0.313 0.794 O
0.595 0.687 0.794 O
0.596 0.312 0.297 O
0.596 0.688 0.297 O
0.752 0.000 0.138 O
0.753 0.000 0.638 O
0.792 0.500 0.064 O
0.797 0.500 0.562 O
0.831 0.000 0.856 O
0.832 0.000 0.356 O
0.966 0.500 0.905 O
0.979 0.500 0.408 O
```

---

No. 3
# Li12Cr3CoP4C4O28

A relaxed Li12Cr3CoP4C4O28 crystal (PBE+U, Materials Project).

POSCAR file:
```
Li12Cr3CoP4C4O28
1.0
8.630 0.000 0.000
0.000 6.465 0.000
-0.787 0.000 9.971
Li Cr Co P C O
12 3 1 4 4 28
Direct
0.000 0.000 0.000 Li
0.001 0.000 0.501 Li
0.171 0.226 0.756 Li
0.171 0.774 0.756 Li
0.172 0.225 0.258 Li
0.172 0.775 0.258 Li
0.624 0.274 0.510 Li
0.624 0.726 0.510 Li
0.625 0.274 0.010 Li
0.625 0.726 0.010 Li
0.795 0.500 0.765 Li
0.801 0.500 0.268 Li
0.232 0.500 0.990 Cr
0.563 0.000 0.776 Cr
0.564 0.000 0.279 Cr
0.230 0.500 0.486 Co
0.309 0.000 0.024 P
0.309 0.000 0.523 P
0.483 0.500 0.741 P
0.487 0.500 0.245 P
0.866 0.000 0.736 C
0.867 0.000 0.236 C
0.929 0.500 0.031 C
0.938 0.500 0.532 C
0.008 0.000 0.198 O
0.008 0.000 0.699 O
0.046 0.500 0.122 O
0.054 0.500 0.625 O
0.209 0.188 0.467 O
0.209 0.812 0.467 O
0.210 0.187 0.967 O
0.210 0.813 0.967 O
0.318 0.000 0.179 O
0.318 0.000 0.678 O
0.320 0.500 0.292 O
0.320 0.500 0.794 O
0.466 0.500 0.585 O
0.476 0.000 0.477 O
0.476 0.000 0.976 O
0.478 0.500 0.090 O
0.585 0.314 0.795 O
0.585 0.686 0.795 O
0.587 0.313 0.301 O
0.587 0.687 0.301 O
0.749 0.000 0.145 O
0.749 0.000 0.644 O
0.788 0.500 0.068 O
0.795 0.500 0.565 O
0.838 0.000 0.860 O
0.840 0.000 0.360 O
0.956 0.500 0.906 O
0.971 0.500 0.408 O
```

---

No. 4
# Li6CrCoP2C2O14

A relaxed Li6CrCoP2C2O14 crystal (PBE+U, Materials Project).

POSCAR file:
```
Li6CrCoP2C2O14
1.0
5.001 -6.446 0.000
5.001 6.446 0.000
-4.201 0.000 8.565
Li Cr Co P C O
12 2 2 4 4 28
Direct
0.000 0.000 0.000 Li
0.063 0.294 0.842 Li
0.085 0.353 0.383 Li
0.145 0.643 0.218 Li
0.294 0.063 0.842 Li
0.353 0.085 0.383 Li
0.501 0.501 0.002 Li
0.567 0.794 0.840 Li
0.585 0.854 0.384 Li
0.643 0.145 0.218 Li
0.794 0.567 0.840 Li
0.854 0.585 0.384 Li
0.015 0.015 0.448 Cr
0.514 0.514 0.447 Cr
0.134 0.632 0.778 Co
0.632 0.134 0.778 Co
0.269 0.770 0.527 P
0.379 0.379 0.703 P
0.770 0.269 0.527 P
0.878 0.878 0.701 P
0.312 0.312 0.147 C
0.332 0.833 0.072 C
0.812 0.812 0.146 C
0.833 0.332 0.072 C
0.030 0.030 0.694 O
0.120 0.622 0.544 O
0.180 0.866 0.424 O
0.195 0.693 0.046 O
0.200 0.200 0.009 O
0.251 0.251 0.535 O
0.277 0.465 0.802 O
0.287 0.287 0.272 O
0.359 0.864 0.951 O
0.364 0.678 0.424 O
0.401 0.901 0.692 O
0.441 0.941 0.213 O
0.447 0.447 0.166 O
0.465 0.277 0.802 O
0.530 0.530 0.694 O
0.622 0.120 0.544 O
0.678 0.364 0.424 O
0.693 0.195 0.046 O
0.701 0.701 0.009 O
0.750 0.750 0.533 O
0.775 0.963 0.800 O
0.788 0.788 0.271 O
0.864 0.359 0.951 O
0.866 0.180 0.424 O
0.901 0.401 0.692 O
0.941 0.441 0.213 O
0.948 0.948 0.165 O
0.963 0.775 0.800 O
```

Output
As for the maximum piezoelectric response: 1.8 C/m2.

---

No. 5
# CrCo3C16NO14

A relaxed CrCo3C16NO14 crystal (PBE+U, Materials Project).

POSCAR file:
```
CrCo3C16NO14
1.0
9.038 0.000 0.000
0.000 10.967 0.000
-0.056 0.000 11.724
Cr Co C N O
2 6 32 2 28
Direct
0.087 0.250 0.116 Cr
0.913 0.750 0.884 Cr
0.247 0.136 0.636 Co
0.247 0.364 0.636 Co
0.463 0.250 0.718 Co
0.537 0.750 0.282 Co
0.753 0.636 0.364 Co
0.753 0.864 0.364 Co
0.029 0.250 0.271 C
0.054 0.115 0.619 C
0.054 0.385 0.619 C
0.082 0.077 0.121 C
0.082 0.423 0.121 C
0.112 0.750 0.939 C
0.154 0.250 0.958 C
0.260 0.250 0.759 C
0.281 0.505 0.706 C
0.281 0.995 0.706 C
0.292 0.250 0.158 C
0.317 0.108 0.495 C
0.317 0.392 0.495 C
0.419 0.750 0.407 C
0.466 0.630 0.198 C
0.466 0.870 0.198 C
0.534 0.130 0.802 C
0.534 0.370 0.802 C
0.581 0.250 0.593 C
0.683 0.608 0.505 C
0.683 0.892 0.505 C
0.708 0.750 0.842 C
0.719 0.005 0.294 C
0.719 0.495 0.294 C
0.740 0.750 0.241 C
0.846 0.750 0.042 C
0.888 0.250 0.061 C
0.918 0.577 0.879 C
0.918 0.923 0.879 C
0.946 0.615 0.381 C
0.946 0.885 0.381 C
0.971 0.750 0.729 C
0.200 0.250 0.863 N
0.800 0.750 0.137 N
0.004 0.750 0.633 O
0.072 0.598 0.392 O
0.072 0.902 0.392 O
0.075 0.529 0.127 O
0.075 0.971 0.127 O
0.231 0.750 0.976 O
0.299 0.597 0.751 O
0.299 0.903 0.751 O
0.346 0.750 0.488 O
0.361 0.086 0.405 O
0.361 0.414 0.405 O
0.417 0.250 0.179 O
0.421 0.553 0.139 O
0.421 0.947 0.139 O
0.579 0.053 0.861 O
0.579 0.447 0.861 O
0.583 0.750 0.821 O
0.639 0.586 0.595 O
0.639 0.914 0.595 O
0.654 0.250 0.512 O
0.701 0.097 0.249 O
0.701 0.403 0.249 O
0.769 0.250 0.024 O
0.925 0.029 0.873 O
0.925 0.471 0.873 O
0.928 0.098 0.608 O
0.928 0.402 0.608 O
0.996 0.250 0.367 O
```

---

No. 6
# CsCoC4O4

A relaxed CsCoC4O4 crystal (PBE+U, Materials Project).

POSCAR file:
```
CsCoC4O4
1.0
-4.319 4.319 2.737
4.319 -4.319 2.737
4.319 4.319 -2.737
Cs Co C O
1 1 4 4
Direct
0.000 0.000 0.000 Cs
0.750 0.250 0.500 Co
0.094 0.391 0.601 C
0.507 0.906 0.297 C
0.609 0.210 0.703 C
0.790 0.493 0.399 C
0.329 0.490 0.669 O
0.340 0.671 0.162 O
0.510 0.179 0.838 O
0.821 0.660 0.331 O
```

Output
As for the maximum piezoelectric response: 0.3 C/m2.

---

No. 7
# Sr2CoCO3F5

A relaxed Sr2CoCO3F5 crystal (PBE+U, Materials Project).

POSCAR file:
```
Sr2CoCO3F5
1.0
5.574 0.000 0.000
0.000 8.920 0.000
-3.549 0.000 13.313
Sr Co C O F
8 4 4 12 20
Direct
0.191 0.138 0.416 Sr
0.191 0.362 0.916 Sr
0.192 0.612 0.403 Sr
0.192 0.888 0.903 Sr
0.808 0.112 0.097 Sr
0.808 0.388 0.597 Sr
0.809 0.638 0.084 Sr
0.809 0.862 0.584 Sr
0.309 0.128 0.673 Co
0.309 0.372 0.173 Co
0.691 0.628 0.827 Co
0.691 0.872 0.327 Co
0.321 0.624 0.637 C
0.321 0.876 0.137 C
0.679 0.124 0.863 C
0.679 0.376 0.363 C
0.090 0.619 0.585 O
0.090 0.881 0.085 O
0.365 0.631 0.734 O
0.365 0.869 0.234 O
0.496 0.623 0.591 O
0.496 0.877 0.091 O
0.504 0.123 0.909 O
0.504 0.377 0.409 O
0.635 0.131 0.766 O
0.635 0.369 0.266 O
0.910 0.119 0.915 O
0.910 0.381 0.415 O
0.028 0.630 0.934 F
0.028 0.870 0.434 F
0.170 0.217 0.236 F
0.170 0.283 0.736 F
0.172 0.539 0.227 F
0.172 0.961 0.727 F
0.394 0.217 0.086 F
0.394 0.283 0.586 F
0.417 0.512 0.086 F
0.417 0.988 0.586 F
0.583 0.012 0.414 F
0.583 0.488 0.914 F
0.606 0.717 0.414 F
0.606 0.783 0.914 F
0.828 0.039 0.273 F
0.828 0.461 0.773 F
0.830 0.717 0.264 F
0.830 0.783 0.764 F
0.972 0.130 0.566 F
0.972 0.370 0.066 F
```

---

No. 8
# K2CoH8C2O10

A relaxed K2CoH8C2O10 crystal (PBE+U, Materials Project).

POSCAR file:
```
K2CoH8C2O10
1.0
6.931 0.000 0.000
0.000 6.317 0.000
-5.067 0.000 11.245
K Co H C O
4 2 16 4 20
Direct
0.233 0.155 0.316 K
0.233 0.345 0.816 K
0.767 0.655 0.184 K
0.767 0.845 0.684 K
0.000 0.000 0.000 Co
0.000 0.500 0.500 Co
0.200 0.664 0.368 H
0.200 0.836 0.868 H
0.209 0.697 0.983 H
0.209 0.803 0.483 H
0.300 0.175 0.578 H
0.300 0.325 0.078 H
0.428 0.110 0.111 H
0.428 0.390 0.611 H
0.572 0.610 0.389 H
0.572 0.890 0.889 H
0.700 0.675 0.922 H
0.700 0.825 0.422 H
0.791 0.197 0.517 H
0.791 0.303 0.017 H
0.800 0.164 0.132 H
0.800 0.336 0.632 H
0.258 0.654 0.181 C
0.258 0.846 0.681 C
0.742 0.154 0.319 C
0.742 0.346 0.819 C
0.112 0.723 0.409 O
0.112 0.777 0.909 O
0.124 0.690 0.653 O
0.124 0.810 0.153 O
0.292 0.173 0.054 O
0.292 0.327 0.554 O
0.318 0.567 0.285 O
0.318 0.933 0.785 O
0.331 0.583 0.106 O
0.331 0.917 0.606 O
0.669 0.083 0.394 O
0.669 0.417 0.894 O
0.682 0.067 0.215 O
0.682 0.433 0.715 O
0.708 0.673 0.446 O
0.708 0.827 0.946 O
0.876 0.190 0.847 O
0.876 0.310 0.347 O
0.888 0.223 0.091 O
0.888 0.277 0.591 O
```

---

DFT formation energy in eV per formula unit, matching the order above: -0.51; -120.49; -122.83; -60.85; -22.64; -9.90; -35.06; -36.04
Ρ in g/cm3, matching the order above: 2.0; 2.8; 2.7; 2.8; 1.9; 2.5; 3.9; 2.2
Spin magnetization in μB per formula unit, matching the order above: 0.00; 13.00; 15.00; 3.00; 0.00; 0.00; 0.00; 1.00